DFT (GGA+U) results for MgV2Ag2Hg2O8 after structural relaxation.

Structure (POSCAR):
```
MgV2Ag2Hg2O8
1.0
-3.240 -5.664 -0.285
1.549 2.704 -5.296
6.759 -2.796 1.180
O V Mg Hg Ag
8 2 1 2 2
Cartesian
4.066 -3.418 -2.498
6.622 -2.851 -2.598
-0.700 -5.368 -1.929
-1.293 -2.585 -1.851
1.093 -3.683 -0.608
0.615 -3.187 -3.555
4.801 -0.880 -3.621
5.167 -1.268 -0.704
-0.024 -3.806 -1.917
5.101 -2.016 -2.364
-0.992 -1.867 -3.738
-0.267 -0.529 -0.224
2.035 -3.844 -4.887
3.228 -4.647 -0.472
2.258 -0.176 -3.838
```

Calculated values
Energy (eV per cell): -80.26

***

DFT (GGA+U) results for Sr2FeO3 after structural relaxation.

Structure (POSCAR):
```
Sr2FeO3
1.0
-3.570 3.981 0.000
3.570 0.000 13.089
3.570 3.981 0.000
O Fe Sr
12 4 8
Cartesian
0.000 3.981 11.024
1.785 7.962 6.544
0.000 3.981 2.065
0.000 5.971 0.000
0.000 1.991 0.000
3.570 3.981 11.024
1.785 5.971 4.480
1.785 1.990 8.609
1.785 3.981 6.544
1.785 5.971 8.609
1.785 1.990 4.480
3.570 3.981 2.065
1.785 1.990 6.544
3.570 3.981 13.089
1.785 5.971 6.545
3.570 3.981 0.000
3.570 3.981 8.511
1.785 5.971 11.123
0.000 3.981 4.578
1.785 5.971 1.966
1.785 1.990 1.966
0.000 3.981 8.511
1.785 1.990 11.123
3.570 3.981 4.578
```

Calculated values
Energy (eV per cell): -151.05

***

DFT (GGA+U) results for Li6Mn5SbO12 after structural relaxation.

Structure (POSCAR):
```
Li6Mn5SbO12
1.0
2.788 4.765 0.419
4.871 -0.668 -10.296
-7.842 4.589 -0.002
Li O Sb Mn
12 24 2 10
Cartesian
3.169 5.457 -6.998
-2.109 5.352 -7.206
1.964 3.312 -2.672
0.432 3.832 -7.191
-3.389 3.251 -2.880
0.599 6.935 -6.980
-3.308 6.420 -2.684
-0.642 4.878 -2.698
3.092 2.276 -7.184
-5.944 4.762 -2.894
5.787 3.900 -6.973
-0.747 1.739 -2.909
2.887 4.898 -3.658
-6.056 4.530 -1.010
-0.566 2.278 -6.300
6.031 3.985 -8.826
2.247 0.613 -6.305
0.092 3.398 -3.785
-3.511 3.286 -0.957
2.056 3.231 -0.748
2.269 3.858 -6.013
-2.432 8.061 -3.574
-0.698 1.472 -1.056
0.738 7.156 -8.863
-3.454 6.208 -0.803
-2.457 4.830 -3.865
3.043 2.537 -9.035
-1.994 5.313 -9.131
0.391 6.416 -3.577
-0.906 4.791 -0.846
-3.064 3.783 -6.219
0.553 4.068 -9.074
3.073 5.544 -8.919
2.901 1.740 -3.782
-0.269 5.301 -6.093
-3.091 6.934 -6.098
-0.146 8.663 -9.878
2.302 4.032 -10.086
3.888 3.615 -4.839
1.174 2.003 -5.044
-1.450 3.537 -5.039
1.266 5.144 -4.831
0.078 3.152 0.206
-1.356 6.682 -4.833
2.428 7.156 -9.875
-4.068 5.073 -5.048
-0.273 5.540 -10.086
0.179 6.290 0.415
```

Calculated values
Energy (eV per cell): -309.96
Polymorph energy (0 for the lowest one) (eV/atom): 0.0000

***

DFT (GGA+U) results for V2Cu2O7 after structural relaxation.

Structure (POSCAR):
```
V2Cu2O7
1.0
-4.887 -1.511 -4.256
5.052 1.085 -4.192
1.603 -6.074 -2.529
V O Cu
4 14 4
Cartesian
-0.266 -0.978 -2.874
0.223 -2.749 -6.845
2.034 -5.522 -8.103
1.546 -3.751 -4.132
0.789 -1.004 -6.561
0.684 -4.278 -7.831
-1.943 -5.651 -4.869
-1.101 -0.816 -4.328
3.715 -0.927 -3.563
2.870 -5.684 -6.649
-0.445 -3.303 -5.401
1.085 -2.222 -3.145
2.213 -3.197 -5.576
0.980 -5.496 -4.416
5.379 -3.699 -6.094
-3.610 -2.801 -4.882
-1.946 -5.574 -7.413
3.711 -0.849 -6.107
5.102 -5.270 -7.066
4.358 -2.468 -5.131
-3.333 -1.231 -3.911
-2.589 -4.032 -5.846
```

Calculated values
Energy (eV per cell): -140.77
Polymorph energy (0 for the lowest one) (eV/atom): 0.2108

***

| no. | formation energy from the elements (eV/atom) |
| --- | --- |
| 1 | -1.5688 |
| 2 | -2.5646 |
| 3 | -2.1165 |
| 4 | -1.5994 |